Entry 1:
Computed, not measured: a relaxed structure of Na8Ca2Ta2Si5SO24 at the PBE-GGA level of DFT.

Output
calculated formation energy: -119.062 eV/f.u.

abc: 9.3464 9.3583 22.6641
angles: 90.40 90.36 119.84
Last column: nearest neighbours and their distance in Å.
Space group P1 (No. 1)
Asymmetric unit:
Na  0.0000  0.0000  0.0000 (multiplicity 1)  3 O 2.31-2.52
Na  0.0008  0.3384  0.8421 (multiplicity 1)  1 O 2.30
Na  0.0164  0.3773  0.5077 (multiplicity 1)  3 O 2.42-2.60
Na  0.2618  0.6687  0.0005 (multiplicity 1)  3 O 2.29-2.54
Na  0.2807  0.0270  0.5170 (multiplicity 1)  4 O 2.46-2.64
Na  0.2901  0.3490  0.9164 (multiplicity 1)  3 O 2.42-2.61
Na  0.3105  0.3495  0.4271 (multiplicity 1)  6 O 2.40-2.69
Na  0.3193  0.0445  0.8310 (multiplicity 1)  3 O 2.29-2.56
Na  0.3370  0.9959  0.1664 (multiplicity 1)  2 O 2.33-2.36
Na  0.3443  0.6611  0.3351 (multiplicity 1)  4 O 2.38-2.58
Na  0.3482  0.7313  0.6640 (multiplicity 1)  3 O 2.35-2.63
Na  0.5814  0.3095  0.3360 (multiplicity 1)  4 O 2.43-2.56
Na  0.6026  0.6814  0.8256 (multiplicity 1)  3 O 2.27-2.52
Na  0.6239  0.0171  0.2535 (multiplicity 1)  5 O 2.47-2.66
Na  0.6276  0.6423  0.5178 (multiplicity 1)  4 O 2.39-2.63
Na  0.6300  0.0006  0.7482 (multiplicity 1)  2 O 2.33-2.34
Na  0.6477  0.3404  0.6586 (multiplicity 1)  5 O 2.40-2.67
Na  0.6534  0.7140  0.1672 (multiplicity 1)  4 O 2.35-2.53
Na  0.6695  0.3802  0.0086 (multiplicity 1)  3 O 2.32-2.59
Na  0.9363  0.3434  0.1607 (multiplicity 1)  3 O 2.27-2.51
Na  0.9509  0.9995  0.6554 (multiplicity 1)  2 O 2.30-2.34
Na  0.9684  0.6882  0.5864 (multiplicity 1)  6 O 2.60-2.80
Na  0.9781  0.6830  0.0790 (multiplicity 1)  6 O 2.48-2.77
Na  0.9932  0.0680  0.3452 (multiplicity 1)  3 O 2.37-2.56
Ca  0.3111  0.3507  0.2793 (multiplicity 1)  6 O 2.17-2.33
Ca  0.3113  0.3525  0.7685 (multiplicity 1)  6 O 2.17-2.42
Ca  0.3182  0.3486  0.5709 (multiplicity 1)  6 O 2.30-2.52
Ca  0.6404  0.0152  0.1063 (multiplicity 1)  5 O 2.14-2.33
Ca  0.6410  0.0145  0.6003 (multiplicity 1)  6 O 2.21-2.46
Ca  0.9799  0.6879  0.9385 (multiplicity 1)  6 O 2.18-2.32
Ta  0.3224  0.3689  0.0679 (multiplicity 1)  5 O 1.93-2.04
Ta  0.6373  0.0049  0.9104 (multiplicity 1)  5 O 1.90-2.07
Ta  0.6386  0.0126  0.4030 (multiplicity 1)  6 O 1.93-2.13
Ta  0.9712  0.6693  0.2381 (multiplicity 1)  5 O 1.90-2.05
Ta  0.9751  0.6835  0.4411 (multiplicity 1)  6 O 1.94-1.99
Ta  0.9901  0.7086  0.7420 (multiplicity 1)  4 O 1.88-1.97
Si  0.2657  0.9608  0.3397 (multiplicity 1)  4 O 1.60-1.70
Si  0.2814  0.6881  0.8455 (multiplicity 1)  4 O 1.59-1.72
Si  0.2990  0.6427  0.1776 (multiplicity 1)  4 O 1.59-1.74
Si  0.3094  0.0428  0.6767 (multiplicity 1)  4 O 1.61-1.74
Si  0.3400  0.7208  0.5033 (multiplicity 1)  4 O 1.60-1.71
Si  0.3482  0.0283  0.0103 (multiplicity 1)  4 O 1.59-1.74
Si  0.6090  0.3577  0.1768 (multiplicity 1)  4 O 1.59-1.75
Si  0.6265  0.6588  0.6764 (multiplicity 1)  4 O 1.61-1.72
Si  0.6383  0.7137  0.0110 (multiplicity 1)  4 O 1.58-1.73
Si  0.6523  0.3182  0.5036 (multiplicity 1)  4 O 1.61-1.70
Si  0.6945  0.6966  0.3390 (multiplicity 1)  4 O 1.60-1.70
Si  0.9377  0.0110  0.5030 (multiplicity 1)  4 O 1.60-1.70
Si  0.9452  0.3084  0.0101 (multiplicity 1)  4 O 1.58-1.74
Si  0.9586  0.3818  0.3413 (multiplicity 1)  4 O 1.60-1.72
Si  0.9663  0.9893  0.8457 (multiplicity 1)  4 O 1.58-1.74
S  0.0032  0.3636  0.6767 (multiplicity 1)  4 O 1.47-1.52
S  0.0229  0.0485  0.1735 (multiplicity 1)  4 O 1.46-1.51
S  0.6833  0.3765  0.8410 (multiplicity 1)  4 O 1.46-1.52
O  0.0185  0.8846  0.1737 (multiplicity 1)  1 S 1.51
O  0.0828  0.3441  0.7305 (multiplicity 1)  1 S 1.48
O  0.0964  0.1399  0.2283 (multiplicity 1)  1 S 1.46
O  0.1050  0.3908  0.6238 (multiplicity 1)  1 S 1.48
O  0.1115  0.1804  0.5002 (multiplicity 1)  1 Si 1.61
O  0.1175  0.3592  0.3415 (multiplicity 1)  1 Si 1.60
O  0.1181  0.1730  0.8368 (multiplicity 1)  1 Si 1.61
O  0.1193  0.6474  0.1768 (multiplicity 1)  1 Si 1.70
O  0.1252  0.1388  0.1210 (multiplicity 1)  1 S 1.51
O  0.1250  0.3068  0.0136 (multiplicity 1)  1 Si 1.69
O  0.1377  0.8480  0.6849 (multiplicity 1)  1 Si 1.74, 1 Ta 1.88
O  0.1512  0.6935  0.4934 (multiplicity 1)  1 Si 1.67
O  0.1519  0.8546  0.3947 (multiplicity 1)  1 Si 1.63
O  0.1626  0.8773  0.0026 (multiplicity 1)  1 Si 1.61
O  0.1648  0.7045  0.7900 (multiplicity 1)  1 Si 1.72
O  0.1648  0.8412  0.2800 (multiplicity 1)  1 Si 1.70
O  0.1790  0.6551  0.9045 (multiplicity 1)  1 Si 1.59
O  0.2575  0.1081  0.6185 (multiplicity 1)  1 Si 1.63
O  0.2809  0.1392  0.3412 (multiplicity 1)  1 Si 1.60
O  0.2808  0.5147  0.1184 (multiplicity 1)  1 Si 1.74
O  0.3130  0.5589  0.2365 (multiplicity 1)  1 Si 1.59
O  0.3190  0.1364  0.7375 (multiplicity 1)  1 Si 1.61
O  0.3198  0.5394  0.8366 (multiplicity 1)  1 Si 1.61
O  0.3299  0.5439  0.5012 (multiplicity 1)  1 Si 1.61
O  0.3506  0.2098  0.0136 (multiplicity 1)  1 Si 1.69
O  0.3997  0.8243  0.5638 (multiplicity 1)  1 Si 1.60
O  0.4210  0.9994  0.0695 (multiplicity 1)  1 Si 1.59
O  0.4494  0.9735  0.3428 (multiplicity 1)  1 Si 1.66
O  0.4509  0.5408  0.0127 (multiplicity 1)  1 Si 1.69
O  0.4567  0.8257  0.1731 (multiplicity 1)  1 Si 1.62
O  0.4591  0.8724  0.8483 (multiplicity 1)  1 Si 1.70
O  0.4679  0.8354  0.4478 (multiplicity 1)  1 Si 1.71
O  0.4692  0.0194  0.6729 (multiplicity 1)  1 Si 1.62
O  0.4802  0.0482  0.9530 (multiplicity 1)  1 Si 1.74
O  0.4816  0.3215  0.5005 (multiplicity 1)  1 Si 1.61
O  0.4989  0.3799  0.1183 (multiplicity 1)  1 Si 1.75
O  0.5033  0.3257  0.2351 (multiplicity 1)  1 Si 1.59
O  0.5132  0.5776  0.7335 (multiplicity 1)  1 Si 1.61
O  0.5145  0.3496  0.8348 (multiplicity 1)  1 S 1.47
O  0.5155  0.5352  0.3418 (multiplicity 1)  1 Si 1.60
O  0.5556  0.5455  0.6167 (multiplicity 1)  1 Si 1.63
O  0.6123  0.8222  0.9545 (multiplicity 1)  1 Si 1.73, 1 Ta 1.90
O  0.6392  0.1886  0.4479 (multiplicity 1)  1 Si 1.70
O  0.6517  0.2114  0.1706 (multiplicity 1)  1 Si 1.61
O  0.6680  0.8493  0.6733 (multiplicity 1)  1 Si 1.63
O  0.6738  0.8140  0.0708 (multiplicity 1)  1 Si 1.58
O  0.6778  0.2118  0.8420 (multiplicity 1)  1 S 1.52
O  0.6820  0.8674  0.3419 (multiplicity 1)  1 Si 1.66
O  0.7014  0.2622  0.5636 (multiplicity 1)  1 Si 1.61
O  0.7546  0.4660  0.8963 (multiplicity 1)  1 S 1.46
O  0.7743  0.6616  0.9993 (multiplicity 1)  1 Si 1.59
O  0.7847  0.9856  0.8465 (multiplicity 1)  1 Si 1.68
O  0.7856  0.2025  0.3426 (multiplicity 1)  1 Si 1.65
O  0.7882  0.5415  0.1779 (multiplicity 1)  1 Si 1.70
O  0.7903  0.4690  0.7897 (multiplicity 1)  1 S 1.51
O  0.8041  0.6890  0.3940 (multiplicity 1)  1 Si 1.63
O  0.8083  0.6591  0.6892 (multiplicity 1)  1 Si 1.72, 1 Ta 1.93
O  0.8100  0.5083  0.4929 (multiplicity 1)  1 Si 1.67
O  0.8134  0.7139  0.2800 (multiplicity 1)  1 Si 1.70
O  0.8207  0.0197  0.4467 (multiplicity 1)  1 Si 1.70
O  0.8336  0.1776  0.9519 (multiplicity 1)  1 Si 1.74
O  0.8352  0.9684  0.5628 (multiplicity 1)  1 Si 1.60
O  0.8371  0.2183  0.6715 (multiplicity 1)  1 S 1.47
O  0.8467  0.2346  0.0691 (multiplicity 1)  1 Si 1.58
O  0.8534  0.0201  0.1692 (multiplicity 1)  1 S 1.47
O  0.9413  0.4836  0.2812 (multiplicity 1)  1 Si 1.72, 1 Ta 1.90
O  0.9552  0.8580  0.7886 (multiplicity 1)  1 Si 1.74, 1 Ta 1.90
O  0.9679  0.8506  0.4938 (multiplicity 1)  1 Si 1.67
O  0.9727  0.5032  0.3954 (multiplicity 1)  1 Si 1.63
O  0.9746  0.4915  0.0018 (multiplicity 1)  1 Si 1.61
O  0.9869  0.5159  0.6841 (multiplicity 1)  1 S 1.52
O  0.9881  0.9095  0.9039 (multiplicity 1)  1 Si 1.58

Entry 2:
Computed, not measured: a relaxed structure of Fe2B at the PBE-GGA level of DFT.

Output
calculated formation energy: -0.922 eV/f.u.

abc: 5.0638 5.0638 4.2364
angles: 90.00 90.00 90.00
Last column: nearest neighbours and their distance in Å.
Space group I4/mcm (No. 140)
Asymmetric unit:
Fe  0.1661  0.3339  0.0000 (multiplicity 8)  4 B 2.17, 1 Fe 2.38
B  0.0000  0.0000  0.2500 (multiplicity 4)  2 B 2.12, 8 Fe 2.17

Entry 3:
Computed, not measured: a relaxed structure of LaCrN3 at the PBE-GGA level of DFT.

Output
calculated formation energy: -5.257 eV/f.u.

abc: 10.2419 10.1987 6.0121
angles: 90.00 106.77 90.00
Last column: nearest neighbours and their distance in Å.
Space group C2/c (No. 15)
Asymmetric unit:
La  0.0000  0.0967  0.2500 (multiplicity 4)  6 N 2.42-2.59
La  0.0000  0.3345  0.7500 (multiplicity 4)  6 N 2.50-2.70
Cr  0.2134  0.4135  0.2568 (multiplicity 8)  3 N 1.65-1.80
N  0.1159  0.1142  0.6607 (multiplicity 8)  1 Cr 1.70
N  0.1318  0.2760  0.1569 (multiplicity 8)  1 Cr 1.65
N  0.1612  0.4788  0.5089 (multiplicity 8)  2 Cr 1.80-1.87